# 1
KBi2F7 | PBE | optimized geometry

```
KBi2F7
1.0
4.321 0.000 0.000
1.664 3.992 0.000
1.801 1.214 20.790
Bi F K
4 14 2
direct
0.548 0.761 0.671 Bi
0.236 0.417 0.832 Bi
0.857 0.104 0.503 Bi
0.929 0.089 0.999 Bi
0.468 0.211 0.722 F
0.347 0.302 0.472 F
0.769 0.507 0.788 F
0.067 0.843 0.631 F
0.938 0.092 0.401 F
0.722 0.590 0.036 F
0.825 0.486 0.912 F
0.151 0.827 0.755 F
0.461 0.185 0.599 F
0.164 0.885 0.879 F
0.685 0.754 0.273 F
0.375 0.251 0.983 F
0.691 0.644 0.525 F
0.995 0.996 0.105 F
0.631 0.650 0.161 K
0.352 0.380 0.332 K
```

Summary:
E_tot   -4.66 eV/atom
Volume   359 Å³ per cell
Energy of formation   -27.524 eV per formula unit
E above lowest polymorph   36.3 meV/atom

# 2
Cu10Hg2Sb4S13 | PBE | optimized geometry

```
Cu10Hg2Sb4S13
1.0
-5.192 5.192 5.473
5.192 -5.192 5.473
5.192 5.192 -5.473
S Cu Sb Hg
13 10 4 2
direct
0.009 0.755 0.526 S
0.746 0.482 0.000 S
0.517 0.991 0.746 S
0.245 0.772 0.254 S
0.772 0.245 0.254 S
0.228 0.483 0.474 S
0.755 0.009 0.526 S
0.991 0.517 0.746 S
0.483 0.228 0.474 S
0.482 0.746 0.000 S
0.000 0.000 0.000 S
0.518 0.518 0.264 S
0.254 0.254 0.736 S
0.500 0.236 0.736 Cu
0.500 0.764 0.264 Cu
0.764 0.500 0.264 Cu
0.000 0.774 0.774 Cu
0.750 0.250 0.500 Cu
0.226 0.000 0.226 Cu
0.236 0.500 0.736 Cu
0.250 0.750 0.500 Cu
0.774 0.000 0.774 Cu
0.000 0.226 0.226 Cu
0.469 0.016 0.000 Sb
0.984 0.984 0.453 Sb
0.531 0.531 0.547 Sb
0.016 0.469 0.000 Sb
0.764 0.764 0.000 Hg
0.236 0.236 0.000 Hg
```

Summary:
E_tot   -4.05 eV/atom
Volume   590 Å³ per cell
Energy of formation   -12.104 eV per formula unit

# 3
CdN | PBE | optimized geometry

```
CdN
1.0
0.129 1.112 -3.154
-2.891 -1.115 1.264
-1.276 5.417 1.858
Cd N
2 2
direct
0.000 0.000 0.000 Cd
0.000 0.000 0.500 Cd
0.667 0.333 0.750 N
0.333 0.667 0.250 N
```

Summary:
E_tot   -3.49 eV/atom
Volume   57 Å³ per cell
Energy of formation   1.921 eV per formula unit
E above lowest polymorph   100.1 meV/atom

# 4
K2Ag4Se3 | PBE | optimized geometry

```
K2Ag4Se3
1.0
-8.885 -2.538 1.604
-7.197 -1.871 5.714
-6.571 10.062 1.064
Ag Se K
8 6 4
direct
0.409 0.409 0.516 Ag
0.992 0.992 0.877 Ag
0.982 0.982 0.630 Ag
0.018 0.018 0.370 Ag
0.589 0.589 0.912 Ag
0.411 0.411 0.088 Ag
0.591 0.591 0.484 Ag
0.008 0.008 0.123 Ag
0.145 0.145 0.960 Se
0.838 0.838 0.616 Se
0.162 0.162 0.384 Se
0.466 0.466 0.277 Se
0.855 0.855 0.040 Se
0.534 0.534 0.723 Se
0.336 0.336 0.839 K
0.186 0.186 0.656 K
0.664 0.664 0.161 K
0.814 0.814 0.344 K
```

Summary:
E_tot   -3.19 eV/atom
Volume   469 Å³ per cell
Energy of formation   -6.053 eV per formula unit

# 5
Hg3C2N4Cl2 | PBE | optimized geometry

```
Hg3C2N4Cl2
1.0
7.355 0.000 0.000
0.000 10.660 0.000
0.000 0.000 11.032
Cl Hg N C
8 12 16 8
direct
0.880 0.923 0.704 Cl
0.380 0.923 0.296 Cl
0.930 0.098 0.202 Cl
0.070 0.598 0.798 Cl
0.570 0.598 0.202 Cl
0.120 0.423 0.296 Cl
0.430 0.098 0.798 Cl
0.620 0.423 0.704 Cl
0.995 0.499 0.553 Hg
0.227 0.859 0.793 Hg
0.273 0.359 0.793 Hg
0.495 0.499 0.447 Hg
0.211 0.543 0.087 Hg
0.505 0.999 0.553 Hg
0.005 0.999 0.447 Hg
0.727 0.859 0.207 Hg
0.289 0.043 0.087 Hg
0.711 0.543 0.913 Hg
0.789 0.043 0.913 Hg
0.773 0.359 0.207 Hg
0.643 0.340 0.383 N
0.143 0.340 0.617 N
0.176 0.144 0.501 N
0.324 0.644 0.501 N
0.161 0.894 0.984 N
0.339 0.394 0.984 N
0.676 0.144 0.499 N
0.951 0.210 0.903 N
0.857 0.840 0.383 N
0.661 0.894 0.016 N
0.049 0.710 0.097 N
0.549 0.710 0.903 N
0.357 0.840 0.617 N
0.451 0.210 0.097 N
0.839 0.394 0.016 N
0.824 0.644 0.499 N
0.111 0.798 0.042 C
0.350 0.739 0.559 C
0.650 0.239 0.441 C
0.389 0.298 0.042 C
0.889 0.298 0.958 C
0.611 0.798 0.958 C
0.150 0.239 0.559 C
0.850 0.739 0.441 C
```

Summary:
E_tot   -4.95 eV/atom
Volume   865 Å³ per cell
Energy of formation   0.726 eV per formula unit

# 6
GaReCl6O2 | PBE | optimized geometry

```
GaReCl6O2
1.0
-0.908 0.089 -8.616
8.559 -7.912 -0.984
-4.607 -11.568 0.365
O Re Cl Ga
8 4 24 4
direct
0.603 0.005 0.808 O
0.103 0.495 0.192 O
0.896 0.743 0.666 O
0.396 0.757 0.334 O
0.397 0.995 0.192 O
0.897 0.505 0.808 O
0.604 0.243 0.666 O
0.104 0.257 0.334 O
0.723 0.125 0.743 Re
0.277 0.875 0.257 Re
0.223 0.375 0.257 Re
0.777 0.625 0.743 Re
0.732 0.926 0.372 Cl
0.259 0.315 0.105 Cl
0.030 0.724 0.333 Cl
0.741 0.685 0.895 Cl
0.470 0.224 0.333 Cl
0.783 0.326 0.125 Cl
0.970 0.276 0.667 Cl
0.530 0.776 0.667 Cl
0.241 0.815 0.105 Cl
0.217 0.674 0.875 Cl
0.283 0.174 0.875 Cl
0.768 0.426 0.372 Cl
0.534 0.481 0.844 Cl
0.232 0.574 0.628 Cl
0.034 0.019 0.156 Cl
0.700 0.568 0.595 Cl
0.466 0.519 0.156 Cl
0.268 0.074 0.628 Cl
0.200 0.932 0.405 Cl
0.300 0.432 0.405 Cl
0.800 0.068 0.595 Cl
0.966 0.981 0.844 Cl
0.717 0.826 0.125 Cl
0.759 0.185 0.895 Cl
0.354 0.626 0.754 Ga
0.854 0.874 0.246 Ga
0.646 0.374 0.246 Ga
0.146 0.126 0.754 Ga
```

Summary:
E_tot   -4.68 eV/atom
Volume   1180 Å³ per cell
Energy of formation   -11.706 eV per formula unit

# 7
YMg14AlO16 | PBE | optimized geometry

```
YMg14AlO16
1.0
4.396 0.000 0.000
0.000 8.648 0.000
0.000 0.000 8.698
O Mg Al Y
16 14 1 1
direct
0.500 0.251 0.251 O
0.500 0.000 0.000 O
0.500 0.500 0.000 O
0.000 0.752 0.500 O
0.500 0.500 0.500 O
0.000 0.248 0.500 O
0.500 0.000 0.500 O
0.500 0.749 0.749 O
0.000 0.500 0.260 O
0.000 0.000 0.756 O
0.500 0.251 0.749 O
0.000 0.776 0.000 O
0.000 0.224 0.000 O
0.000 0.000 0.244 O
0.000 0.500 0.740 O
0.500 0.749 0.251 O
0.500 0.500 0.261 Mg
0.500 0.758 0.000 Mg
0.500 0.000 0.747 Mg
0.000 0.756 0.742 Mg
0.500 0.751 0.500 Mg
0.000 0.000 0.500 Mg
0.500 0.000 0.253 Mg
0.500 0.242 0.000 Mg
0.000 0.244 0.258 Mg
0.500 0.500 0.739 Mg
0.000 0.244 0.742 Mg
0.500 0.249 0.500 Mg
0.000 0.756 0.258 Mg
0.000 0.500 0.500 Mg
0.000 0.000 0.000 Al
0.000 0.500 0.000 Y
```

Summary:
E_tot   -6.04 eV/atom
Volume   331 Å³ per cell
Energy of formation   -92.500 eV per formula unit
E above lowest polymorph   0.0 meV/atom

# 8
Al2Cu3S6 | PBE | optimized geometry

```
Al2Cu3S6
1.0
-2.608 2.608 15.884
2.608 -2.608 15.884
2.608 2.608 -15.884
S Cu Al
12 6 4
direct
0.788 0.787 0.493 S
0.044 0.544 0.007 S
0.213 0.706 0.001 S
0.875 0.377 0.002 S
0.706 0.212 0.999 S
0.962 0.956 0.499 S
0.537 0.038 0.993 S
0.375 0.873 0.998 S
0.456 0.463 0.501 S
0.127 0.125 0.502 S
0.294 0.294 0.507 S
0.623 0.625 0.498 S
0.750 0.250 0.500 Cu
0.419 0.919 0.500 Cu
0.081 0.581 0.500 Cu
0.669 0.669 0.000 Cu
0.000 0.000 0.000 Cu
0.331 0.331 0.000 Cu
0.581 0.081 0.500 Al
0.831 0.831 0.000 Al
0.919 0.419 0.500 Al
0.169 0.169 0.000 Al
```

Summary:
E_tot   -4.56 eV/atom
Volume   432 Å³ per cell
Energy of formation   -8.536 eV per formula unit

# 9
MgCu3AsS4 | PBE | optimized geometry

```
MgCu3AsS4
1.0
-4.715 -2.408 1.663
2.840 -4.741 0.499
1.131 0.998 5.341
Cu S As Mg
3 4 1 1
direct
0.518 0.518 0.011 Cu
0.989 0.518 0.482 Cu
0.518 0.989 0.482 Cu
0.731 0.259 0.741 S
0.731 0.731 0.269 S
0.259 0.259 0.269 S
0.259 0.731 0.741 S
0.976 0.976 0.024 As
0.270 0.270 0.730 Mg
```

Summary:
E_tot   -4.14 eV/atom
Volume   171 Å³ per cell
Energy of formation   -4.131 eV per formula unit
E above lowest polymorph   15.4 meV/atom

# 10
CeAs2 | PBE | optimized geometry

```
CeAs2
1.0
3.994 0.000 0.000
0.000 7.084 0.000
0.000 0.000 9.841
As Ce
8 4
direct
0.250 0.385 0.829 As
0.250 0.894 0.048 As
0.250 0.885 0.671 As
0.750 0.106 0.952 As
0.750 0.115 0.329 As
0.750 0.606 0.548 As
0.250 0.394 0.452 As
0.750 0.615 0.171 As
0.250 0.804 0.355 Ce
0.750 0.196 0.645 Ce
0.750 0.696 0.855 Ce
0.250 0.304 0.145 Ce
```

Summary:
E_tot   -6.07 eV/atom
Volume   278 Å³ per cell
Energy of formation   -2.973 eV per formula unit

# 11
ZrTiP2SO12 | PBE | optimized geometry

```
ZrTiP2SO12
1.0
8.778 -0.002 -0.004
-4.391 7.629 0.009
-0.011 0.018 22.681
Ti O P Zr S
6 72 12 6 6
direct
0.351 0.673 0.813 Ti
0.332 0.670 0.022 Ti
0.656 0.341 0.976 Ti
0.337 0.671 0.523 Ti
0.671 0.336 0.187 Ti
0.006 0.008 0.858 Ti
0.821 0.783 0.302 O
0.174 0.208 0.412 O
0.791 0.817 0.196 O
0.134 0.630 0.069 O
0.878 0.372 0.638 O
0.640 0.507 0.928 O
0.804 0.831 0.905 O
0.487 0.119 0.636 O
0.496 0.134 0.929 O
0.370 0.507 0.070 O
0.695 0.530 0.240 O
0.869 0.357 0.927 O
0.464 0.309 0.745 O
0.864 0.495 0.137 O
0.631 0.125 0.135 O
0.307 0.465 0.471 O
0.505 0.369 0.136 O
0.154 0.466 0.257 O
0.172 0.972 0.905 O
0.976 0.800 0.805 O
0.870 0.510 0.425 O
0.479 0.174 0.236 O
0.498 0.642 0.571 O
0.968 0.789 0.090 O
0.787 0.960 0.698 O
0.213 0.040 0.303 O
0.021 0.197 0.194 O
0.959 0.172 0.303 O
0.028 0.204 0.908 O
0.689 0.534 0.528 O
0.632 0.127 0.427 O
0.131 0.638 0.363 O
0.302 0.472 0.766 O
0.814 0.025 0.090 O
0.833 0.022 0.807 O
0.146 0.505 0.571 O
0.507 0.864 0.363 O
0.478 0.312 0.027 O
0.831 0.517 0.027 O
0.360 0.864 0.575 O
0.303 0.831 0.972 O
0.692 0.157 0.744 O
0.501 0.635 0.863 O
0.363 0.861 0.863 O
0.362 0.487 0.364 O
0.536 0.682 0.257 O
0.502 0.871 0.074 O
0.162 0.694 0.763 O
0.524 0.831 0.473 O
0.627 0.505 0.637 O
0.849 0.542 0.746 O
0.530 0.699 0.971 O
0.176 0.975 0.194 O
0.126 0.491 0.864 O
0.691 0.158 0.029 O
0.454 0.149 0.530 O
0.038 0.821 0.699 O
0.168 0.692 0.473 O
0.320 0.851 0.256 O
0.486 0.359 0.425 O
0.209 0.182 0.088 O
0.822 0.802 0.592 O
0.830 0.308 0.236 O
0.798 0.966 0.411 O
0.159 0.460 0.970 O
0.986 0.182 0.591 O
0.528 0.834 0.765 O
0.201 0.016 0.591 O
0.189 0.168 0.808 O
0.171 0.209 0.698 O
0.845 0.306 0.529 O
0.036 0.835 0.410 O
0.054 0.671 0.419 P
0.965 0.344 0.583 P
0.282 0.291 0.754 P
0.948 0.607 0.081 P
0.713 0.997 0.754 P
0.335 0.951 0.917 P
0.992 0.285 0.248 P
0.392 0.347 0.082 P
0.615 0.947 0.418 P
0.297 0.012 0.248 P
0.621 0.673 0.918 P
0.660 0.621 0.582 P
0.668 0.338 0.692 Zr
0.011 0.005 0.139 Zr
0.000 0.003 0.357 Zr
0.677 0.337 0.477 Zr
0.993 0.004 0.645 Zr
0.327 0.671 0.308 Zr
0.377 0.038 0.583 S
0.046 0.382 0.917 S
0.659 0.048 0.081 S
0.333 0.384 0.418 S
0.010 0.718 0.754 S
0.712 0.705 0.248 S
```

Summary:
E_tot   -7.74 eV/atom
Volume   1519 Å³ per cell
Energy of formation   -49.060 eV per formula unit

# 12
NaI | PBE | optimized geometry

```
NaI
1.0
2.443 -2.179 3.258
-2.029 -3.173 2.674
1.060 -4.467 -0.508
Na I
1 1
direct
0.000 0.000 0.000 Na
0.500 0.500 0.500 I
```

Summary:
E_tot   -2.69 eV/atom
Volume   70 Å³ per cell
Energy of formation   -2.919 eV per formula unit